#i
The following is a PBE calculation of a geometry-optimized SnSO4 structure, from the Materials Project database.

Cell and atoms, written as POSCAR:
```
SnSO4
1.0
5.4583 0.0000 0.0000
-0.1581 7.2513 0.0000
-0.1646 -0.0171 9.1425
O Sn S
16 4 4
Cartesian
2.2783 1.4292 8.2417
3.6464 6.3023 3.8388
2.5760 2.1106 3.4935
1.1639 3.4110 7.4528
4.9947 5.0601 5.4485
1.2023 0.1472 2.9697
1.1686 2.7715 0.6991
3.9333 7.0870 6.1728
5.3015 5.7529 0.9993
-0.1659 1.4813 8.1432
3.9716 3.8231 1.6896
2.5596 5.1236 5.6490
2.8573 5.8050 0.9007
0.1409 2.1741 3.6940
3.9670 4.4627 8.4434
1.4892 0.9319 5.3037
1.4887 5.1816 2.5985
3.6468 2.0525 6.5440
0.8965 5.6451 7.1796
4.2391 1.5890 1.9629
1.0528 2.2916 8.4533
3.7678 5.9169 5.2518
1.3678 1.3173 3.8906
4.0827 4.9426 0.6892
```

Summary:
- Size of the total moment: 0.00 μB/f.u.

---

#ii
The following is a PBE calculation of a geometry-optimized SnSO4 structure, from the Materials Project database.

Cell and atoms, written as POSCAR:
```
SnSO4
1.0
-1.4677 4.6268 1.7488
-6.3770 -3.4318 1.5609
5.2546 -1.9684 9.0691
Sn O S
4 16 4
Cartesian
-1.1628 -0.8900 10.1473
0.9927 -0.8728 6.7756
-1.4273 0.1166 2.2314
-3.5829 0.0994 5.6031
-5.3023 -1.1898 6.0183
-1.3495 2.4418 4.5852
-3.6543 -1.5835 3.2167
-2.3375 -1.3212 6.8004
1.0642 0.8101 9.1621
0.2274 -2.6127 10.5012
-1.2407 -3.2152 7.7936
0.0247 2.7464 6.5964
-0.2526 0.5478 5.5784
3.4454 1.3291 9.2709
-5.9551 1.6064 3.1998
-2.8175 1.8394 1.8775
-2.6148 -3.5198 5.7824
-6.0356 -2.1025 3.1078
3.3650 -2.3798 9.1790
2.7122 0.4164 6.3604
2.2112 1.0539 10.0561
-0.1423 2.0328 5.3023
-4.8014 -1.8273 2.3226
-2.4478 -2.8062 7.0764
```

Summary:
- Size of the total moment: 0.00 μB/f.u.

---

Pick #i: it beats the second-best structure by 2.1 kJ/mol of atoms.

---

#i
The following is a PBE calculation of a geometry-optimized TiSO5 structure, from the Materials Project database.

Cell and atoms, written as POSCAR:
```
TiSO5
1.0
-3.9935 -1.6001 -3.1235
6.9847 -0.6144 -8.6153
5.3078 -25.1471 6.0964
O Ti S
80 16 16
Cartesian
5.1567 -24.0041 -0.8976
2.1884 -20.0715 2.9599
2.7663 -24.9468 2.4516
6.4722 -15.1279 -2.7893
4.5865 -8.6300 -1.4429
1.5709 -3.0441 -7.2404
1.6217 -22.4196 2.8102
5.4670 -8.6288 -7.0937
3.5718 -2.2423 -5.6753
6.9123 -15.3612 -5.4927
2.8017 -12.1248 -1.8951
3.8015 -17.7947 -2.3496
4.4395 -4.3674 -10.0402
1.3210 -5.6446 -3.3217
0.9897 -1.2587 -2.7012
4.3379 -13.4271 -3.1920
6.8783 -25.5676 -0.2205
6.9901 -23.2695 0.5364
9.8482 -17.3198 -3.7183
2.1960 -15.2736 2.5716
7.2946 -5.3238 -6.5989
5.6106 -21.9095 -2.7366
8.7578 -11.6235 -5.2424
4.1975 -18.8529 -0.2330
5.2963 -24.7375 1.3767
6.1134 -21.7974 3.3504
4.0764 -2.7186 -8.3435
3.1030 -8.6482 0.4631
7.3219 -26.1040 -2.9567
0.9617 -13.6706 1.2492
11.1501 -23.7432 -2.0922
0.2407 -12.0942 -0.8968
0.3607 -16.0090 1.1362
5.6381 -17.0588 -0.9131
-1.1560 -6.0899 -2.1896
5.7693 -3.9280 -5.3638
-1.1673 -2.1230 -4.3883
5.3138 -6.2857 -5.6493
7.2017 -10.4125 -3.8733
3.5226 -17.7142 2.3075
2.6577 -21.0470 0.4108
3.4550 -21.6850 4.2441
2.2357 -11.2948 0.6636
3.2857 -4.6437 -4.2693
-0.0529 -7.9387 -0.3900
9.4789 -25.2397 -1.2696
0.8413 -5.2896 -0.6275
4.4773 -15.9273 -4.3497
5.9050 -14.3465 -0.2002
4.8192 -20.1810 2.1014
8.3008 -17.0351 -1.8858
-1.6237 -1.5262 -1.6668
6.2720 -20.0115 -4.7366
4.8109 -15.3243 1.6996
3.1524 -7.1518 -7.3399
0.3637 -8.2582 -3.2039
4.7672 -24.1450 4.0167
5.0467 -8.6960 -4.2609
3.6374 -13.7226 0.3021
4.7365 -11.0710 -2.8293
2.9012 -11.8064 -4.2648
5.7042 -10.5705 -8.4831
9.5787 -22.9536 -0.4876
1.8836 -2.7348 -1.0072
8.1629 -21.8212 -3.7822
1.5270 -18.5138 0.7466
6.2729 -3.6328 -8.6063
5.7503 -19.1941 -2.0434
2.8578 -7.0040 -4.5901
6.8654 -12.7773 -4.3092
8.4300 -19.1468 -3.0487
3.0511 -9.4956 -5.8218
1.4775 -14.5881 -1.3873
7.5408 -9.8346 -7.0466
4.7055 -13.6428 -5.9986
7.6078 -21.1092 -1.1744
3.1748 -2.1970 -2.9336
1.4524 -5.3783 -5.7032
7.0961 -20.6222 1.4920
2.5217 -7.3936 -1.5160
4.1518 -8.0653 -5.7008
7.1593 -15.5654 -1.1793
5.6176 -14.5306 -4.2629
1.8153 -12.7548 -0.3113
3.0749 -19.2019 1.3811
4.4701 -2.8729 -4.2434
5.2189 -22.6595 4.9356
2.7922 -1.7193 -7.2135
4.3934 -25.5443 2.9445
8.3781 -21.6393 0.3740
2.5505 -9.9689 1.8460
5.9163 -9.3039 -2.7978
1.2029 -3.8836 0.4516
0.5171 -6.6369 -1.7856
6.9018 -20.6472 -2.7712
3.9537 -16.2445 3.2669
4.9337 -14.0676 0.8988
10.3738 -24.1433 -0.8948
7.8691 -15.5686 -6.6097
3.7055 -12.0811 -3.0730
6.3691 -5.2952 -5.4303
6.0884 -24.3680 0.1748
6.1479 -20.4860 2.6345
6.4234 -9.4262 -7.9080
5.0573 -3.2440 -9.3284
3.6331 -7.8047 -0.6468
4.8471 -18.1967 -1.3996
2.1971 -1.6426 -1.9675
7.8697 -11.7388 -4.0479
9.1169 -21.9853 -4.9177
2.2405 -5.6452 -4.4969
9.2137 -18.0055 -2.5559
```

---

#ii
The following is a PBE calculation of a geometry-optimized TiSO5 structure, from the Materials Project database.

Cell and atoms, written as POSCAR:
```
TiSO5
1.0
6.9728 2.6011 0.0000
-6.9728 2.6011 0.0000
0.0000 0.0385 9.6081
O Ti S
20 4 4
Cartesian
-0.4475 1.4622 3.1876
-0.9790 1.4530 5.5616
2.5758 2.3798 8.7398
-2.3843 3.6593 6.3048
0.4475 3.7785 6.4205
4.8479 2.5873 4.0064
2.3843 1.5814 3.3033
-2.5758 2.8609 0.8683
0.9790 1.4337 0.7576
2.5758 2.8801 5.6723
0.4475 1.4814 7.9916
-2.5758 2.3606 3.9357
4.8479 2.6341 0.7976
0.9790 3.7877 4.0465
-4.8479 2.6534 5.6017
-4.8479 2.6065 8.8104
-0.9790 3.8070 8.8505
-2.3843 1.6006 8.1073
-0.4475 3.7592 1.6164
2.3843 3.6400 1.5007
-1.2357 2.6300 7.2060
-3.4864 1.3005 0.0000
1.2357 2.6107 2.4020
3.4864 1.3198 4.8040
-1.5101 1.3266 4.1731
1.5101 1.3459 8.9772
1.5101 3.9140 5.4349
-1.5101 3.8948 0.6309
```

---

Pick #i: it beats the second-best structure by 1.1 kJ/mol of atoms.

---

#i
The following is a PBE calculation of a geometry-optimized Ti2S3O12 structure, from the Materials Project database.

Cell and atoms, written as POSCAR:
```
Ti2S3O12
1.0
0.8910 7.7005 -4.5702
-6.5065 3.3915 -5.2098
-4.5406 7.4871 2.0746
O S Ti
24 6 4
Cartesian
-6.7835 11.3122 -3.0900
-3.7899 4.6743 -3.4792
-7.9328 7.3726 -2.8834
-3.1034 10.6983 -1.2297
-6.3858 12.8006 -6.8631
-1.4561 8.5687 -5.3245
-3.1679 12.7082 -3.1678
-6.9882 5.8710 -4.5376
-6.8038 10.3284 -0.9021
-6.8400 10.1663 -5.7783
-4.4592 9.1654 0.0724
-6.3662 13.9049 -4.2262
-2.2234 11.2066 -4.8220
-3.3523 8.2507 -6.8033
-3.3727 7.2670 -4.6154
-8.7000 10.0104 -2.3808
-3.7704 5.7786 -0.8423
-7.0527 7.8808 -6.4756
-5.6035 6.8072 -2.7836
-4.5527 11.7719 -4.9218
-1.5702 6.2500 -2.6058
-8.5860 12.3292 -5.0996
-5.6970 9.4138 -7.7778
-3.3162 8.4128 -1.9270
-3.2385 9.3027 -0.7468
-6.9483 6.2896 -3.1223
-2.5047 7.6247 -5.7598
-6.9177 9.2764 -6.9586
-3.2079 12.2896 -4.5831
-7.6515 10.9544 -1.9456
-1.4678 2.6850 -1.1136
-6.5863 12.0485 -4.9969
-8.6884 15.8941 -6.5918
-3.5699 6.5306 -2.7085
```

Summary:
- Size of the total moment: 2.01 μB/f.u.

---

#ii
The following is a PBE calculation of a geometry-optimized Ti2S3O12 structure, from the Materials Project database.

Cell and atoms, written as POSCAR:
```
Ti2S3O12
1.0
8.7137 0.0000 0.0000
0.0000 8.6698 0.0000
0.0000 8.5657 12.0462
S Ti O
12 8 48
Cartesian
7.7736 9.5511 1.7576
7.7297 5.1762 4.2339
5.3409 9.4590 10.2570
0.9840 12.0593 7.8124
5.2970 13.8340 7.7807
0.9401 7.6844 10.2887
2.1569 8.3086 6.0702
3.4167 3.4015 4.2656
6.5568 8.9269 5.9761
3.3728 7.7765 1.7892
2.2000 4.0257 0.0471
6.5137 13.2098 11.9992
4.0243 15.0723 10.6426
0.3326 10.7894 4.6195
4.6842 6.4771 4.5991
4.0295 10.7584 7.4471
0.3274 6.4755 1.4240
8.3863 10.7599 10.6223
8.3811 6.4461 7.4268
4.6894 2.1632 1.4037
3.8189 11.4957 5.5667
3.6156 9.2224 1.9844
5.0981 8.0131 10.0618
8.6459 5.9556 3.3688
5.0777 9.8299 11.6655
4.3105 14.2600 8.7976
0.5380 15.7786 11.5898
5.5176 9.4804 6.8545
1.1608 12.0379 11.2148
6.4187 10.0313 2.1274
8.6674 7.2584 9.2718
7.2633 10.0341 5.2987
7.5055 8.1575 6.8161
5.9662 8.0393 4.9381
4.4031 2.9755 3.2487
1.4504 7.2014 6.7475
4.2891 6.9970 2.6544
4.8948 5.7398 6.4796
7.7494 8.0684 1.6923
8.1757 1.4569 0.4564
3.3925 4.8842 4.3309
7.5529 5.1976 0.8314
7.1043 12.3222 10.9613
7.9724 3.7302 4.0387
5.3211 12.3513 7.7154
2.9065 2.9185 0.7244
5.5651 3.8746 0.7930
6.7611 9.7210 9.9099
3.1486 13.3609 11.2532
0.7413 13.5053 8.0076
6.6518 14.3141 8.1506
0.7209 11.6884 6.4038
1.2082 9.0780 5.2301
1.9525 7.5145 2.1363
0.0677 11.2799 8.6775
1.6094 4.9133 1.0850
5.8072 14.3170 11.3218
2.0619 2.9214 3.8957
4.4246 10.2385 9.3919
2.4043 11.7973 8.1595
6.3094 5.4382 3.8868
2.7475 9.1962 7.1081
7.9928 5.5471 5.6424
2.2950 7.2042 9.9188
3.6360 7.4056 0.3807
0.0463 9.9771 2.7744
0.9643 9.1671 10.3540
3.1961 7.7550 5.1917
```

Summary:
- Size of the total moment: 2.00 μB/f.u.

---

Pick #i: it beats the second-best structure by 0.5 kJ/mol of atoms.

---

#i
The following is a PBE calculation of a geometry-optimized Zn2SO6 structure, from the Materials Project database.

Cell and atoms, written as POSCAR:
```
Zn2SO6
1.0
-2.6706 -3.7766 -0.3471
1.1950 -1.4428 6.5030
-11.9684 8.0960 3.9954
O Zn S
24 8 4
Cartesian
-3.1788 -3.5959 2.0438
-12.1594 5.3600 4.6874
-4.4649 -1.6015 2.5757
-5.1032 0.8061 5.3646
-9.2815 0.4413 5.6078
-4.1124 2.2210 7.0272
-7.3560 -0.3095 3.3835
-2.7074 -1.5538 0.8794
-2.1429 -1.7224 3.2499
-4.4497 1.4356 2.7923
-11.9885 4.3860 8.1183
-9.6199 2.1226 4.1038
-10.6481 7.0887 3.8124
-3.0456 -2.5642 5.1683
-8.5732 0.1755 7.9304
-9.8102 4.8689 4.2937
-7.4373 1.7681 6.5442
-9.7728 4.7592 8.2382
0.0115 -1.0011 5.3976
-10.5041 6.3255 6.1282
-7.5550 2.6778 3.4033
-4.8154 -0.0544 7.6324
-2.8761 0.2867 6.2240
-9.7367 2.1990 7.2091
-7.8208 1.1463 2.0781
-5.4289 -0.1422 3.4917
-11.6494 2.6857 7.2536
-12.8160 3.8043 9.8550
-6.1459 2.5574 4.8314
-8.0383 4.5523 3.4828
-0.1053 -1.7547 3.5381
-1.7713 -1.3426 6.0746
-4.2028 0.8288 6.6009
-8.7488 1.1778 6.7882
-3.1339 -2.1488 2.2226
-10.8024 5.8955 4.6909
```

Summary:
- Size of the total moment: 2.00 μB/f.u.

---

#ii
The following is a PBE calculation of a geometry-optimized Zn2SO6 structure, from the Materials Project database.

Cell and atoms, written as POSCAR:
```
Zn2SO6
1.0
-2.7738 3.9457 0.9085
-1.0749 -2.1275 5.9582
11.5450 7.0563 4.6025
O S Zn
24 4 8
Cartesian
6.5755 8.7596 6.9838
2.1377 5.7629 6.8642
-0.8979 3.5523 3.9956
-0.3949 -0.9529 3.7758
6.3946 6.8921 9.7815
3.8743 3.6791 7.9596
8.7643 7.0417 10.2759
0.5983 2.6865 1.8534
8.0433 5.7884 8.3553
2.6287 6.9127 3.6741
8.6547 7.0645 4.6506
6.7684 4.9054 5.6837
9.3572 8.2538 7.1264
0.0234 0.0532 0.9881
-1.3676 2.7095 6.2512
3.1836 2.4235 3.5142
4.3946 4.7475 5.2125
5.1753 6.0531 7.1177
2.4605 1.0792 7.1743
1.5292 4.9420 2.7855
0.7004 1.0095 4.6877
6.6004 3.0633 8.4102
5.5333 6.8276 4.8176
1.6184 3.2396 5.6908
7.7065 6.1524 9.7489
5.4582 5.6482 5.7074
-1.8683 3.5369 5.1318
4.0962 2.4114 2.3501
1.1533 2.9984 3.7598
0.5362 1.8843 6.7065
8.4665 4.9682 4.2763
3.1932 5.3915 8.5309
10.0125 6.4904 6.6977
-1.2950 2.7597 1.6339
5.2365 7.8981 8.1956
3.4819 3.1073 6.0757
```

Summary:
- Size of the total moment: 2.00 μB/f.u.

---

Pick #ii: it beats the second-best structure by 6.1 kJ/mol of atoms.